CaLaMnSnO6 | PBE with a Hubbard U | relaxed Values from VASP.

```
&SYSTEM
  ibrav = 0, nat = 20, ntyp = 5
/
ATOMIC_SPECIES
Ca 40.08 Ca.upf
La 138.91 La.upf
Mn 54.94 Mn.upf
Sn 118.71 Sn.upf
O 16.00 O.upf
CELL_PARAMETERS angstrom
-5.6033 -0.3272 0.1763
0.3693 -5.7387 1.0876
0.0799 1.4655 7.7061
ATOMIC_POSITIONS angstrom
Ca -2.5010 -1.6048 6.3303
Ca -5.4853 -0.2871 2.1461
La 0.3359 -4.3407 6.8223
La -2.6515 -2.9704 2.6276
Mn -2.8035 -0.1725 0.0983
Mn 0.2216 -2.1246 4.4041
Sn 0.2551 -1.3889 8.2365
Sn -2.7689 0.5493 3.9340
O -0.3302 -2.3386 2.5259
O -1.0269 0.1943 7.6055
O -1.0697 -0.3916 4.5156
O -1.3347 -3.2974 5.0312
O -1.3048 -2.6823 8.0924
O -1.8601 -5.3536 2.9818
O -3.2534 0.7377 5.9912
O -3.8726 -1.8909 0.8649
O -3.8300 -1.3005 3.9541
O -4.1379 -4.7926 1.3796
O -4.1038 -4.2411 4.4530
O -4.7852 -2.2410 6.4417
```

Calculated values
* V: 257.81 Å³/cell
* symmetry: Pc (7)
* spin magnetization: 4.00 μB per formula unit
* energy relative to the elements: -2702 kJ/mol of formula units